[1]
# VAsO5

An optimized crystal structure of VAsO5 (PBE+U, Materials Project).

POSCAR file:
```
VAsO5
1.0
-0.7475 -1.6537 -6.9722
-6.0889 -3.9342 1.5859
-4.7221 6.8568 -1.1201
O V As
20 4 4
Direct
0.7842 0.2602 0.4846
0.6793 0.8898 0.6209
0.7158 0.7398 0.9846
0.5807 0.4125 0.1237
0.3207 0.3898 0.8791
0.4193 0.9125 0.3763
0.9193 0.5875 0.6237
0.8207 0.1102 0.1209
0.5385 0.5561 0.5672
0.8019 0.6492 0.3051
0.6981 0.3508 0.8051
0.0807 0.0875 0.8763
0.3019 0.8508 0.6949
0.1981 0.1492 0.1949
0.9615 0.4439 0.0672
0.4615 0.0561 0.9328
0.2842 0.2398 0.5154
0.1793 0.6102 0.3791
0.2158 0.7602 0.0154
0.0385 0.9439 0.4328
0.9910 0.7044 0.4384
0.4910 0.7956 0.5616
0.5090 0.2956 0.9384
0.0090 0.2044 0.0616
0.7599 0.5744 0.1075
0.2401 0.0744 0.3925
0.7401 0.4256 0.6075
0.2599 0.9256 0.8925
```

total moment	0.0	μB per cell
crystal system	orthorhombic
ΔE to the lowest computed polymorph	0.124	eV/atom
corrected total energy (MP2020 scheme)	-51.252	eV/f.u.

[2]
# Li9Mn2Co5O16

An optimized crystal structure of Li9Mn2Co5O16 (PBE+U, Materials Project).

POSCAR file:
```
Li9Mn2Co5O16
1.0
-1.0936 -2.4598 -1.3419
6.7817 0.3958 -7.2222
7.5825 -6.4595 2.6795
Li O Co Mn
9 16 5 2
Direct
0.3199 0.5609 0.8696
0.5000 0.5000 0.5000
0.8165 0.0611 0.8740
0.0649 0.3184 0.3763
0.5559 0.8106 0.3711
0.1835 0.9389 0.1260
0.9351 0.6816 0.6237
0.4441 0.1894 0.6289
0.6801 0.4391 0.1304
0.5565 0.4794 0.3103
0.1410 0.2731 0.1813
0.5269 0.1485 0.4350
0.0401 0.6561 0.4174
0.6728 0.1001 0.0671
0.1839 0.5980 0.0778
0.3171 0.2295 0.8148
0.8590 0.7269 0.8187
0.4731 0.8515 0.5650
0.6829 0.7705 0.1852
0.3272 0.8999 0.9329
0.9599 0.3439 0.5826
0.4435 0.5206 0.6897
0.9019 0.0209 0.6843
0.0981 0.9791 0.3157
0.8161 0.4020 0.9222
0.6176 0.1252 0.2508
0.3824 0.8748 0.7492
0.0000 0.0000 0.5000
0.1077 0.6179 0.2622
0.8923 0.3821 0.7378
0.2422 0.2518 0.9965
0.7578 0.7482 0.0035
```

total moment	14.0	μB per cell
crystal system	triclinic
ΔE to the lowest computed polymorph	0.073	eV/atom
corrected total energy (MP2020 scheme)	-207.544	eV/f.u.

[3]
# Rb2MnHgF6

An optimized crystal structure of Rb2MnHgF6 (PBE+U, Materials Project).

POSCAR file:
```
Rb2MnHgF6
1.0
6.3013 0.0000 0.0000
3.1506 5.4571 0.0000
3.1506 1.8190 5.1450
F Hg Rb Mn
6 1 2 1
Direct
0.7669 0.2331 0.7669
0.2331 0.7669 0.7669
0.2331 0.7669 0.2331
0.7669 0.7669 0.2331
0.7669 0.2331 0.2331
0.2331 0.2331 0.7669
0.5000 0.5000 0.5000
0.2500 0.2500 0.2500
0.7500 0.7500 0.7500
0.0000 0.0000 0.0000
```

total moment	5.0	μB per cell
crystal system	cubic
corrected total energy (MP2020 scheme)	-49.118	eV/f.u.

DFT formation energy (eV per atom)
-1.82, -1.79, -2.62